Record 1
## VFeSbO6 (PBE with a Hubbard U)

Data for VFeSbO6 after structural relaxation.

Values from the calculation:
VASP energy ... -6.869 eV per atom
Maximum piezoelectric response ... 0.31 C/m²

Lattice parameters (Å, degrees): 4.6376 4.6376 9.2644 90.00 90.00 90.00
Fractional coordinates of all 18 atoms:
V1 0.0000 0.0000 0.0000
V2 0.5000 0.5000 0.5000
Fe1 0.0000 0.0000 0.6679
Fe2 0.5000 0.5000 0.1679
Sb1 0.0000 0.0000 0.3329
Sb2 0.5000 0.5000 0.8329
O1 0.1915 0.1915 0.1626
O2 0.1941 0.1941 0.8360
O3 0.2022 0.2022 0.4972
O4 0.2978 0.7022 0.9972
O5 0.3059 0.6941 0.3360
O6 0.3085 0.6915 0.6626
O7 0.6915 0.3085 0.6626
O8 0.6941 0.3059 0.3360
O9 0.7022 0.2978 0.9972
O10 0.7978 0.7978 0.4972
O11 0.8059 0.8059 0.8360
O12 0.8085 0.8085 0.1626



Record 2
## Zn2FeSbO6 (PBE with a Hubbard U)

Data for Zn2FeSbO6 after structural relaxation.

Values from the calculation:
VASP energy ... -5.577 eV per atom

Lattice parameters (Å, degrees): 5.2690 7.7390 5.3346 90.00 90.59 90.00
Fractional coordinates of all 20 atoms:
Zn1 0.0185 0.2500 0.0592
Zn2 0.4779 0.7500 0.4811
Zn3 0.5221 0.2500 0.5189
Zn4 0.9815 0.7500 0.9408
Fe1 0.0000 0.0000 0.5000
Fe2 0.0000 0.5000 0.5000
Sb1 0.5000 0.0000 0.0000
Sb2 0.5000 0.5000 0.0000
O1 0.1127 0.7500 0.5748
O2 0.1808 0.0680 0.8236
O3 0.1808 0.4320 0.8236
O4 0.3296 0.0688 0.3155
O5 0.3296 0.4312 0.3155
O6 0.3661 0.7500 0.0771
O7 0.6339 0.2500 0.9229
O8 0.6704 0.5688 0.6845
O9 0.6704 0.9312 0.6845
O10 0.8192 0.5680 0.1764
O11 0.8192 0.9320 0.1764
O12 0.8873 0.2500 0.4252



Record 3
## ScFeO3 (PBE with a Hubbard U)

Data for ScFeO3 after structural relaxation.

Values from the calculation:
VASP energy ... -7.845 eV per atom

Lattice parameters (Å, degrees): 5.8472 5.8472 11.5815 90.00 90.00 120.00
Fractional coordinates of all 30 atoms:
Sc1 0.0000 0.0000 0.0000
Sc2 0.0000 0.0000 0.5000
Sc3 0.3333 0.6667 0.4580
Sc4 0.3333 0.6667 0.9580
Sc5 0.6667 0.3333 0.4580
Sc6 0.6667 0.3333 0.9580
Fe1 0.0000 0.3339 0.2258
Fe2 0.0000 0.6661 0.7258
Fe3 0.3339 0.0000 0.2258
Fe4 0.3339 0.3339 0.7258
Fe5 0.6661 0.0000 0.7258
Fe6 0.6661 0.6661 0.2258
O1 0.0000 0.0000 0.1949
O2 0.0000 0.0000 0.6949
O3 0.0000 0.3013 0.3962
O4 0.0000 0.3675 0.0592
O5 0.0000 0.6325 0.5592
O6 0.0000 0.6987 0.8962
O7 0.3013 0.0000 0.3962
O8 0.3013 0.3013 0.8962
O9 0.3333 0.6667 0.2534
O10 0.3333 0.6667 0.7534
O11 0.3675 0.0000 0.0592
O12 0.3675 0.3675 0.5592
O13 0.6325 0.0000 0.5592
O14 0.6325 0.6325 0.0592
O15 0.6667 0.3333 0.2534
O16 0.6667 0.3333 0.7534
O17 0.6987 0.0000 0.8962
O18 0.6987 0.6987 0.3962



Record 4
## ScFeO3 (PBE with a Hubbard U)

Data for ScFeO3 after structural relaxation.

Values from the calculation:
VASP energy ... -7.820 eV per atom

Lattice parameters (Å, degrees): 5.4206 7.6737 5.1020 90.00 90.00 90.00
Fractional coordinates of all 20 atoms:
Sc1 0.0700 0.2500 0.0253
Sc2 0.4300 0.7500 0.5253
Sc3 0.5700 0.2500 0.4747
Sc4 0.9300 0.7500 0.9747
Fe1 0.0000 0.0000 0.5000
Fe2 0.0000 0.5000 0.5000
Fe3 0.5000 0.0000 0.0000
Fe4 0.5000 0.5000 0.0000
O1 0.0638 0.7500 0.3538
O2 0.1875 0.5750 0.8152
O3 0.1875 0.9250 0.8152
O4 0.3125 0.0750 0.3152
O5 0.3125 0.4250 0.3152
O6 0.4362 0.2500 0.8538
O7 0.5638 0.7500 0.1462
O8 0.6875 0.5750 0.6848
O9 0.6875 0.9250 0.6848
O10 0.8125 0.0750 0.1848
O11 0.8125 0.4250 0.1848
O12 0.9362 0.2500 0.6462



Number 1: calculated formation energy -2.0589 eV per atom, mass density 5.409 g/cm3. Number 2: calculated formation energy -1.7346 eV per atom, mass density 6.175 g/cm3. Number 3: calculated formation energy -2.7795 eV per atom, mass density 4.323 g/cm3. Number 4: calculated formation energy -2.7540 eV per atom, mass density 4.657 g/cm3.